{
  "formula": "Ca2Bi10O17",
  "functional": "r²SCAN",
  "state": "relaxed",
  "cell": [[6.8672, -3.9089, 0.0000], [6.8672, 3.9089, 0.0000], [-2.1683, 0.0000, 9.5372]],
  "species": ["Ca", "Ca", "Bi", "Bi", "Bi", "Bi", "Bi", "Bi", "Bi", "Bi", "Bi", "Bi", "O", "O", "O", "O", "O", "O", "O", "O", "O", "O", "O", "O", "O", "O", "O", "O", "O"],
  "frac_coords": [[0.0000, 0.0000, 0.0000], [0.5027, 0.5027, 0.0115], [0.0085, 0.5056, 0.0082], [0.1258, 0.1258, 0.6987], [0.1310, 0.5991, 0.6999], [0.3792, 0.8907, 0.3333], [0.3880, 0.3880, 0.3499], [0.5056, 0.0085, 0.0082], [0.5991, 0.1310, 0.6999], [0.6202, 0.6202, 0.7042], [0.8865, 0.8865, 0.3489], [0.8907, 0.3792, 0.3333], [0.1525, 0.6320, 0.9178], [0.1736, 0.1736, 0.9210], [0.2208, 0.2208, 0.3106], [0.2214, 0.7284, 0.3717], [0.2801, 0.2801, 0.6467], [0.3355, 0.8370, 0.1209], [0.3701, 0.3701, 0.1359], [0.4667, 0.9413, 0.7542], [0.4719, 0.4719, 0.7481], [0.6320, 0.1525, 0.9178], [0.6627, 0.6627, 0.9263], [0.7146, 0.7146, 0.3399], [0.7284, 0.2214, 0.3717], [0.8370, 0.3355, 0.1209], [0.8656, 0.8656, 0.1327], [0.9413, 0.4667, 0.7542], [0.9724, 0.9724, 0.7531]],
  "delta_e_f_mev_per_atom": -1492,
  "space_group": "Cm, No. 8"
}



{
  "formula": "CaBi4O9",
  "functional": "r²SCAN",
  "state": "relaxed",
  "cell": [[8.2441, 0.0000, 0.0000], [0.0000, 5.6838, 0.0000], [-7.3644, 0.0000, 8.7740]],
  "species": ["Ca", "Ca", "Bi", "Bi", "Bi", "Bi", "Bi", "Bi", "Bi", "Bi", "O", "O", "O", "O", "O", "O", "O", "O", "O", "O", "O", "O", "O", "O", "O", "O", "O", "O"],
  "frac_coords": [[0.0000, 0.2412, 0.2500], [0.0000, 0.7588, 0.7500], [0.2002, 0.2971, 0.0494], [0.2002, 0.7029, 0.5494], [0.3938, 0.2502, 0.8566], [0.3938, 0.7498, 0.3566], [0.6062, 0.2502, 0.6434], [0.6062, 0.7498, 0.1434], [0.7998, 0.2971, 0.4506], [0.7998, 0.7029, 0.9506], [0.1058, 0.4282, 0.6392], [0.1058, 0.5718, 0.1392], [0.1764, 0.0666, 0.1734], [0.1764, 0.9334, 0.6734], [0.2773, 0.0433, 0.9570], [0.2773, 0.9567, 0.4570], [0.2917, 0.4830, 0.4464], [0.2917, 0.5170, 0.9464], [0.5000, 0.4281, 0.2500], [0.5000, 0.5719, 0.7500], [0.7083, 0.4830, 0.0536], [0.7083, 0.5170, 0.5536], [0.7227, 0.0433, 0.5430], [0.7227, 0.9567, 0.0430], [0.8236, 0.0666, 0.3266], [0.8236, 0.9334, 0.8266], [0.8942, 0.4282, 0.8608], [0.8942, 0.5718, 0.3608]],
  "delta_e_f_mev_per_atom": -1433,
  "space_group": "P2/c, No. 13"
}



{
  "formula": "Ca4Bi6O13",
  "functional": "r²SCAN",
  "state": "relaxed",
  "cell": [[5.9481, 0.0000, 0.0000], [0.0000, 7.2117, 0.0000], [-2.9708, 0.0000, 8.7271]],
  "species": ["Ca", "Ca", "Ca", "Ca", "Bi", "Bi", "Bi", "Bi", "Bi", "Bi", "O", "O", "O", "O", "O", "O", "O", "O", "O", "O", "O", "O", "O"],
  "frac_coords": [[0.0000, 0.2473, 0.0000], [0.0000, 0.7527, 0.0000], [0.4306, 0.2473, 0.8606], [0.4306, 0.7527, 0.8606], [0.1419, 0.2714, 0.4305], [0.1419, 0.7286, 0.4305], [0.5447, 0.5000, 0.2052], [0.5505, 0.0000, 0.2091], [0.7690, 0.5000, 0.6554], [0.7737, 0.0000, 0.6519], [0.0126, 0.2465, 0.7341], [0.0126, 0.7535, 0.7341], [0.0312, 0.0000, 0.4346], [0.2847, 0.0000, 0.9937], [0.2863, 0.2581, 0.2514], [0.2859, 0.5000, 0.9906], [0.2863, 0.7419, 0.2514], [0.4656, 0.2623, 0.6095], [0.4656, 0.7377, 0.6095], [0.7089, 0.2480, 0.1270], [0.7089, 0.7520, 0.1270], [0.7209, 0.0000, 0.8672], [0.7268, 0.5000, 0.8706]],
  "delta_e_f_mev_per_atom": -2003,
  "space_group": "Pm, No. 6"
}



{
  "formula": "CaSnBi2O6",
  "functional": "r²SCAN",
  "state": "relaxed",
  "cell": [[0.0000, 4.1433, 4.1433], [4.1433, 0.0000, 4.1433], [4.1433, 4.1433, 0.0000]],
  "species": ["Ca", "Sn", "Bi", "Bi", "O", "O", "O", "O", "O", "O"],
  "frac_coords": [[0.0000, 0.0000, 0.0000], [0.5000, 0.5000, 0.5000], [0.2500, 0.2500, 0.2500], [0.7500, 0.7500, 0.7500], [0.2592, 0.2592, 0.7408], [0.2592, 0.7408, 0.2592], [0.2592, 0.7408, 0.7408], [0.7408, 0.2592, 0.2592], [0.7408, 0.2592, 0.7408], [0.7408, 0.7408, 0.2592]],
  "delta_e_f_mev_per_atom": -1391,
  "space_group": "Fm-3m, No. 225"
}



{
  "formula": "CaZrBi2O6",
  "functional": "r²SCAN",
  "state": "relaxed",
  "cell": [[0.0000, 4.1885, 4.1885], [4.1885, 0.0000, 4.1885], [4.1885, 4.1885, 0.0000]],
  "species": ["Ca", "Zr", "Bi", "Bi", "O", "O", "O", "O", "O", "O"],
  "frac_coords": [[0.0000, 0.0000, 0.0000], [0.5000, 0.5000, 0.5000], [0.2500, 0.2500, 0.2500], [0.7500, 0.7500, 0.7500], [0.2569, 0.2569, 0.7431], [0.2569, 0.7431, 0.2569], [0.2569, 0.7431, 0.7431], [0.7431, 0.2569, 0.2569], [0.7431, 0.2569, 0.7431], [0.7431, 0.7431, 0.2569]],
  "delta_e_f_mev_per_atom": -1847,
  "space_group": "Fm-3m, No. 225"
}



{
  "formula": "Ca3BiP",
  "functional": "r²SCAN",
  "state": "relaxed",
  "cell": [[5.4175, 0.0000, 0.0000], [0.0000, 5.4175, 0.0000], [0.0000, 0.0000, 5.4175]],
  "species": ["Ca", "Ca", "Ca", "Bi", "P"],
  "frac_coords": [[0.0000, 0.0000, 0.5000], [0.0000, 0.5000, 0.0000], [0.5000, 0.0000, 0.0000], [0.5000, 0.5000, 0.5000], [0.0000, 0.0000, 0.0000]],
  "delta_e_f_mev_per_atom": -1122,
  "space_group": "Pm-3m, No. 221"
}



{
  "formula": "Ca3Bi8Pd4",
  "functional": "r²SCAN",
  "state": "relaxed",
  "cell": [[10.8730, 0.0000, 0.0000], [0.0000, 17.1278, 0.0000], [0.0000, 0.0000, 4.2240]],
  "species": ["Ca", "Ca", "Ca", "Ca", "Ca", "Ca", "Bi", "Bi", "Bi", "Bi", "Bi", "Bi", "Bi", "Bi", "Bi", "Bi", "Bi", "Bi", "Bi", "Bi", "Bi", "Bi", "Pd", "Pd", "Pd", "Pd", "Pd", "Pd", "Pd", "Pd"],
  "frac_coords": [[0.0000, 0.0000, 0.0000], [0.1421, 0.3010, 0.0000], [0.3579, 0.8010, 0.0000], [0.5000, 0.5000, 0.0000], [0.6421, 0.1990, 0.0000], [0.8579, 0.6990, 0.0000], [0.1055, 0.1438, 0.5000], [0.1103, 0.7140, 0.5000], [0.1280, 0.5378, 0.0000], [0.1963, 0.9141, 0.5000], [0.3037, 0.4141, 0.5000], [0.3720, 0.0378, 0.0000], [0.3897, 0.2140, 0.5000], [0.3945, 0.6438, 0.5000], [0.6055, 0.3562, 0.5000], [0.6103, 0.7860, 0.5000], [0.6280, 0.9622, 0.0000], [0.6963, 0.5859, 0.5000], [0.8037, 0.0859, 0.5000], [0.8720, 0.4622, 0.0000], [0.8897, 0.2860, 0.5000], [0.8945, 0.8562, 0.5000], [0.0454, 0.4212, 0.5000], [0.0704, 0.8241, 0.0000], [0.4296, 0.3241, 0.0000], [0.4546, 0.9212, 0.5000], [0.5454, 0.0788, 0.5000], [0.5704, 0.6759, 0.0000], [0.9296, 0.1759, 0.0000], [0.9546, 0.5788, 0.5000]],
  "delta_e_f_mev_per_atom": -545,
  "space_group": "Pbam, No. 55"
}



{
  "formula": "Ca9Zn4Bi9",
  "functional": "r²SCAN",
  "state": "relaxed",
  "cell": [[12.7322, 0.0000, 0.0000], [0.0000, 22.1533, 0.0000], [0.0000, 0.0000, 4.6504]],
  "species": ["Ca", "Ca", "Ca", "Ca", "Ca", "Ca", "Ca", "Ca", "Ca", "Ca", "Ca", "Ca", "Ca", "Ca", "Ca", "Ca", "Ca", "Ca", "Zn", "Zn", "Zn", "Zn", "Zn", "Zn", "Zn", "Zn", "Bi", "Bi", "Bi", "Bi", "Bi", "Bi", "Bi", "Bi", "Bi", "Bi", "Bi", "Bi", "Bi", "Bi", "Bi", "Bi", "Bi", "Bi"],
  "frac_coords": [[0.0000, 0.0000, 0.0000], [0.0723, 0.4112, 0.5000], [0.1264, 0.2348, 0.5000], [0.1309, 0.8620, 0.5000], [0.2045, 0.6011, 0.0000], [0.2955, 0.1011, 0.0000], [0.3691, 0.3620, 0.5000], [0.3736, 0.7348, 0.5000], [0.4277, 0.9112, 0.5000], [0.5000, 0.5000, 0.0000], [0.5723, 0.0888, 0.5000], [0.6264, 0.2652, 0.5000], [0.6309, 0.6380, 0.5000], [0.7045, 0.8989, 0.0000], [0.7955, 0.3989, 0.0000], [0.8691, 0.1380, 0.5000], [0.8736, 0.7652, 0.5000], [0.9277, 0.5888, 0.5000], [0.1109, 0.7634, 0.0000], [0.2288, 0.4531, 0.0000], [0.2712, 0.9531, 0.0000], [0.3891, 0.2634, 0.0000], [0.6109, 0.7366, 0.0000], [0.7288, 0.0469, 0.0000], [0.7712, 0.5469, 0.0000], [0.8891, 0.2366, 0.0000], [0.0000, 0.5000, 0.0000], [0.0457, 0.1452, 0.0000], [0.1134, 0.6939, 0.5000], [0.1912, 0.0079, 0.5000], [0.1930, 0.3302, 0.0000], [0.3070, 0.8302, 0.0000], [0.3088, 0.5079, 0.5000], [0.3866, 0.1939, 0.5000], [0.4543, 0.6452, 0.0000], [0.5000, 0.0000, 0.0000], [0.5457, 0.3548, 0.0000], [0.6134, 0.8061, 0.5000], [0.6912, 0.4921, 0.5000], [0.6930, 0.1698, 0.0000], [0.8070, 0.6698, 0.0000], [0.8088, 0.9921, 0.5000], [0.8866, 0.3061, 0.5000], [0.9543, 0.8548, 0.0000]],
  "delta_e_f_mev_per_atom": -786,
  "space_group": "Pbam, No. 55"
}